Entry 1:
The following is a DFT calculation (PBE+U) of a geometry-optimized MgTiMn5P6O24 structure.

Structure (CIF):
```
data_MgTiMn5P6O24
_chemical_formula_sum 'Mg1 Ti1 Mn5 P6 O24'
_symmetry_space_group_name_H-M 'P 1'
_symmetry_Int_Tables_number 1
_cell_length_a 8.581
_cell_length_b 8.751
_cell_length_c 8.752
_cell_angle_alpha 61.06
_cell_angle_beta 60.71
_cell_angle_gamma 60.84
loop_
_symmetry_equiv_pos_as_xyz
'x,y,z'
loop_
_atom_site_label
_atom_site_fract_x
_atom_site_fract_y
_atom_site_fract_z
_atom_site_occupancy
Mg1 0.000 0.000 0.000 1
Ti1 0.687 0.494 0.715 1
Mn1 0.198 0.982 0.226 1
Mn2 0.256 0.620 0.855 1
Mn3 0.321 0.287 0.491 1
Mn4 0.744 0.123 0.392 1
Mn5 0.795 0.769 0.028 1
P1 0.004 0.392 0.889 1
P2 0.012 0.100 0.606 1
P3 0.482 0.884 0.823 1
P4 0.492 0.580 0.421 1
P5 0.527 0.178 0.107 1
P6 0.991 0.681 0.317 1
O1 0.024 0.538 0.925 1
O2 0.040 0.922 0.779 1
O3 0.177 0.537 0.337 1
O4 0.179 0.328 0.734 1
O5 0.194 0.149 0.510 1
O6 0.281 0.939 0.962 1
O7 0.309 0.729 0.399 1
O8 0.366 0.125 0.146 1
O9 0.489 0.716 0.793 1
O10 0.493 0.548 0.615 1
O11 0.512 0.371 0.950 1
O12 0.512 0.386 0.434 1
O13 0.519 0.035 0.634 1
O14 0.529 0.198 0.274 1
O15 0.638 0.834 0.896 1
O16 0.673 0.616 0.268 1
O17 0.724 0.032 0.047 1
O18 0.817 0.632 0.474 1
O19 0.825 0.487 0.831 1
O20 0.844 0.259 0.680 1
O21 0.963 0.882 0.290 1
O22 0.968 0.074 0.471 1
O23 0.968 0.223 0.065 1
O24 0.999 0.707 0.118 1
```

Entry 2:
The following is a DFT calculation (PBE+U) of a geometry-optimized MgTiMn5P6O24 structure.

Structure (CIF):
```
data_MgTiMn5P6O24
_chemical_formula_sum 'Mg1 Ti1 Mn5 P6 O24'
_symmetry_space_group_name_H-M 'P 1'
_symmetry_Int_Tables_number 1
_cell_length_a 8.648
_cell_length_b 8.688
_cell_length_c 8.765
_cell_angle_alpha 60.46
_cell_angle_beta 62.12
_cell_angle_gamma 89.48
loop_
_symmetry_equiv_pos_as_xyz
'x,y,z'
loop_
_atom_site_label
_atom_site_fract_x
_atom_site_fract_y
_atom_site_fract_z
_atom_site_occupancy
Mg1 0.000 0.000 0.000 1
Ti1 0.632 0.884 0.232 1
Mn1 0.185 0.412 0.191 1
Mn2 0.212 0.716 0.545 1
Mn3 0.353 0.125 0.748 1
Mn4 0.752 0.262 0.485 1
Mn5 0.797 0.605 0.798 1
P1 0.003 0.706 0.293 1
P2 0.487 0.506 0.284 1
P3 0.501 0.797 0.696 1
P4 0.502 0.230 0.985 1
P5 0.965 0.991 0.721 1
P6 0.985 0.296 0.009 1
O1 0.017 0.681 0.471 1
O2 0.139 0.044 0.716 1
O3 0.153 0.248 0.890 1
O4 0.163 0.867 0.084 1
O5 0.299 0.432 0.329 1
O6 0.321 0.262 0.103 1
O7 0.323 0.660 0.895 1
O8 0.462 0.666 0.332 1
O9 0.476 0.822 0.513 1
O10 0.492 0.031 0.154 1
O11 0.529 0.220 0.804 1
O12 0.530 0.359 0.440 1
O13 0.540 0.993 0.650 1
O14 0.642 0.592 0.065 1
O15 0.672 0.365 0.906 1
O16 0.672 0.733 0.667 1
O17 0.806 0.934 0.947 1
O18 0.819 0.127 0.120 1
O19 0.826 0.762 0.293 1
O20 0.940 0.148 0.558 1
O21 0.979 0.825 0.695 1
O22 0.980 0.311 0.179 1
O23 0.988 0.486 0.844 1
O24 0.988 0.519 0.307 1
```

Entry 3:
The following is a DFT calculation (PBE+U) of a geometry-optimized MgMnPbO3 structure.

Structure (CIF):
```
data_MgMnPbO3
_chemical_formula_sum 'Mg2 Mn2 Pb2 O6'
_symmetry_space_group_name_H-M 'C 1 m 1'
_symmetry_Int_Tables_number 8
_cell_length_a 6.692
_cell_length_b 5.925
_cell_length_c 4.486
_cell_angle_alpha 90.00
_cell_angle_beta 99.53
_cell_angle_gamma 90.00
loop_
_symmetry_equiv_pos_as_xyz
'x,y,z'
'x,-y,z'
'x+1/2,y+1/2,z'
'x+1/2,-y+1/2,z'
loop_
_atom_site_label
_atom_site_fract_x
_atom_site_fract_y
_atom_site_fract_z
_atom_site_occupancy
Mg1 0.000 0.000 0.000 1
Mn1 0.202 0.500 0.295 1
Pb1 0.367 0.000 0.631 1
O1 0.215 0.500 0.787 1
O2 0.461 0.252 0.282 1
```

Entry 4:
The following is a DFT calculation (PBE+U) of a geometry-optimized MgMnPbO3 structure.

Structure (CIF):
```
data_MgMnPbO3
_chemical_formula_sum 'Mg1 Mn1 Pb1 O3'
_symmetry_space_group_name_H-M 'P 4/m m m'
_symmetry_Int_Tables_number 123
_symmetry_space_group_name_Hall '-P 4 2'
_cell_length_a 3.954
_cell_length_b 3.954
_cell_length_c 6.475
_cell_angle_alpha 90.00
_cell_angle_beta 90.00
_cell_angle_gamma 90.00
loop_
_atom_site_label
_atom_site_fract_x
_atom_site_fract_y
_atom_site_fract_z
_atom_site_occupancy
Mg1 0.000 0.000 0.000 1
Mn1 0.500 0.500 0.000 1
Pb1 0.000 0.000 0.500 1
O1 0.000 0.500 0.000 1
O2 0.500 0.500 0.500 1
```

no.,relative energy among the computed polymorphs (meV/atom),formation energy from the elements (eV per atom)
1,0.0,-2.642
2,54.4,-2.588
3,0.0,-1.735
4,125.5,-1.610